Entry 1:
The following is a PBE calculation of a relaxed Mg2BiAsO6 crystal, from Materials Project.

Results
Space-group type: No. 63
Energy of formation (kJ per mole of atoms): -223.2

a b c (Å): 7.4159 7.4159 5.4679
angles (deg): 90.00 90.00 114.63
Closest atoms and distances in Å follow each position.
Fractional positions:
Bi 0.5920 0.4080 0.2500  4 O 2.25
O 0.6703 0.6703 0.5000  2 Mg 2.08, 2 Bi 2.25
O 0.3297 0.3297 0.5000  2 Mg 2.08, 2 Bi 2.25
Mg 0.8962 0.7115 0.7500  5 O 1.97-2.08
O 0.6703 0.6703 0.0000  2 Mg 2.08, 2 Bi 2.25
O 0.8828 0.1172 0.0071  1 As 1.73
O 0.9049 0.4494 0.7500  1 As 1.70
O 0.0951 0.5506 0.2500  1 As 1.70
Mg 0.1038 0.2885 0.2500  5 O 1.97-2.08
O 0.4494 0.9049 0.2500  1 As 1.70
Mg 0.7115 0.8962 0.2500  5 O 1.97-2.08
Mg 0.2885 0.1038 0.7500  5 O 1.97-2.08
Bi 0.4080 0.5920 0.7500  4 O 2.25
O 0.1172 0.8828 0.9929  1 As 1.73
O 0.3297 0.3297 0.0000  2 Mg 2.08, 2 Bi 2.25
O 0.1172 0.8828 0.5071  1 As 1.73
As 0.1979 0.8021 0.2500  4 O 1.70-1.73
O 0.5506 0.0951 0.7500  1 As 1.70
As 0.8021 0.1979 0.7500  4 O 1.70-1.73
O 0.8828 0.1172 0.4929  1 As 1.73

=====

Entry 2:
The following is a PBE calculation of a relaxed Rb2MgTi2Zn2O2F10 crystal, from Materials Project.

Results
Excess energy over the best structure of this formula in the dataset (meV per atom): 0
Space-group type: No. 12
Energy of formation (kJ per mole of atoms): -287.8

a b c (Å): 7.0395 7.3185 7.0395
angles (deg): 66.19 62.52 66.19
Closest atoms and distances in Å follow each position.
Fractional positions:
Rb 0.3220 0.5115 0.3220  3 F 2.65-2.72, 1 O 2.90
Zn 0.0000 0.5000 0.0000  6 F 2.02-2.14
O 0.2101 0.9599 0.2101  2 Ti 1.95
Rb 0.6780 0.4885 0.6780  3 F 2.65-2.72, 1 O 2.90
F 0.4405 0.8841 0.8091  1 Mg 1.89, 1 Ti 2.10
F 0.1017 0.6883 0.6655  1 Ti 2.09, 1 Zn 2.14
Ti 0.5000 0.0000 0.0000  2 O 1.95, 4 F 2.09-2.10
F 0.0719 0.6996 0.0719  2 Zn 1.95-2.02
Zn 0.0000 0.0000 0.0000  2 F 1.95
Mg 0.5000 0.0000 0.5000  4 F 1.89
O 0.7899 0.0401 0.7899  2 Ti 1.95
F 0.3345 0.3117 0.8983  1 Ti 2.09, 1 Zn 2.14
F 0.8091 0.8841 0.4405  1 Mg 1.89, 1 Ti 2.10
Ti 0.0000 0.0000 0.5000  2 O 1.95, 4 F 2.09-2.10
F 0.8983 0.3117 0.3345  1 Ti 2.09, 1 Zn 2.14
F 0.6655 0.6883 0.1017  1 Ti 2.09, 1 Zn 2.14
F 0.1909 0.1159 0.5595  1 Mg 1.89, 1 Ti 2.10
F 0.5595 0.1159 0.1909  1 Mg 1.89, 1 Ti 2.10
F 0.9281 0.3004 0.9281  2 Zn 1.95-2.02

=====

Number 1: VASP energy -6.04 eV/atom, theoretical density 5.2 g/cm3. Number 2: VASP energy -5.35 eV/atom, theoretical density 3.8 g/cm3.